PBE Cs3NaPb4, relaxed; E_form = -243 meV per atom; E_tot = -41.605 eV/cell
1.0
3.694 -8.895 0.000
3.694 8.895 0.000
0.000 0.000 11.362
Cs Na Pb
6 2 8
Cartesian
3.694 6.902 6.297
3.694 6.902 10.746
3.694 4.140 2.840
3.694 -4.140 8.521
3.694 -6.902 0.616
3.694 -6.902 5.065
3.694 0.000 0.000
3.694 0.000 5.681
2.031 0.851 8.521
2.031 -0.851 2.840
3.694 3.065 6.981
3.694 3.065 10.061
3.694 -3.065 1.301
3.694 -3.065 4.380
5.358 0.851 8.521
5.358 -0.851 2.840



PBE CsNaS, relaxed; E_form = -1215 meV per atom; E_tot = -18.995 eV/cell
1.0
4.843 0.000 0.000
0.000 4.843 0.000
0.000 0.000 7.976
Cs Na S
2 2 2
Cartesian
1.211 1.211 1.211
3.632 3.632 6.765
1.211 3.632 3.988
3.632 1.211 3.988
1.211 1.211 5.525
3.632 3.632 2.451



PBE Cs6Na4Tl13, relaxed; E_form = -139 meV per atom; E_tot = -44.567 eV/cell
1.0
-6.082 6.082 6.082
6.082 -6.082 6.082
6.082 6.082 -6.082
Cs Na Tl
6 4 13
Cartesian
6.082 0.000 2.076
6.082 4.007 0.000
2.076 6.082 0.000
4.007 0.000 6.082
0.000 2.076 6.082
0.000 6.082 4.007
3.041 3.041 -3.041
3.041 -3.041 3.041
-3.041 3.041 3.041
3.041 3.041 3.041
0.000 0.000 0.000
6.082 -3.237 4.387
2.845 1.696 0.000
9.319 1.696 0.000
4.387 6.082 -3.237
1.696 0.000 2.845
0.000 2.845 1.696
6.082 3.237 4.387
4.387 6.082 3.237
1.696 0.000 9.319
-3.237 4.387 6.082
3.237 4.387 6.082
0.000 9.319 1.696



PBE CsNd2Ti2NbO10, relaxed; E_form = -3404 meV per atom; E_tot = -133.404 eV/cell
1.0
2.744 -2.734 0.000
2.744 2.734 0.000
-0.200 0.000 15.767
Cs Nd Ti Nb O
1 2 2 1 10
Cartesian
0.000 0.000 0.000
5.326 0.000 6.062
5.285 0.000 10.513
2.581 0.000 12.530
2.701 0.000 8.095
2.691 0.000 3.680
1.216 1.359 11.967
1.358 1.380 4.203
1.464 1.424 7.931
2.701 0.000 1.882
1.216 -1.359 11.967
2.573 0.000 14.237
1.358 -1.380 4.203
2.707 0.000 9.976
2.794 0.000 6.066
1.464 -1.424 7.931



PBE Cs2Nb4O11, relaxed; E_form = -2957 meV per atom; E_tot = -1114.728 eV/cell
1.0
7.606 0.000 0.000
0.000 29.483 0.000
0.000 0.000 10.702
Cs Nb O
16 32 88
Cartesian
1.841 5.685 1.318
1.841 9.057 4.033
1.883 2.246 3.800
1.883 12.496 1.551
1.920 16.988 1.551
1.920 27.238 3.800
1.962 20.427 4.033
1.962 23.799 1.318
5.644 5.685 9.384
5.644 9.057 6.669
5.686 2.246 6.902
5.686 12.496 9.151
5.723 16.988 9.151
5.723 27.238 6.902
5.765 20.427 6.669
5.765 23.799 9.384
0.008 16.557 5.328
0.008 27.668 0.023
0.131 20.295 0.115
0.131 23.931 5.236
1.846 22.113 8.026
1.873 18.426 8.139
1.873 25.799 7.913
1.902 0.000 8.238
1.902 14.742 7.815
1.930 3.684 7.913
1.930 11.057 8.139
1.957 7.371 8.026
3.672 5.553 5.236
3.672 9.189 0.115
3.796 1.815 0.023
3.796 12.926 5.328
3.811 16.557 5.373
3.811 27.668 10.679
3.934 20.295 10.587
3.934 23.931 5.466
5.649 22.113 2.675
5.676 18.426 2.563
5.676 25.799 2.788
5.705 0.000 2.464
5.705 14.742 2.887
5.733 3.684 2.788
5.733 11.057 2.563
5.760 7.371 2.675
7.475 5.553 5.466
7.475 9.189 10.587
7.599 1.815 10.679
7.599 12.926 5.373
0.362 0.005 9.369
0.362 14.737 6.684
0.470 2.970 9.281
0.470 11.771 6.772
0.475 17.708 6.772
0.475 26.517 9.280
0.490 4.039 6.669
0.490 10.703 9.383
0.496 6.898 6.681
0.496 7.844 9.371
0.492 18.779 9.379
0.495 21.612 9.339
0.495 22.613 6.714
0.492 25.446 6.674
1.886 5.474 4.679
1.886 9.267 0.672
1.884 20.170 7.345
1.884 24.055 8.708
1.893 16.271 8.861
1.893 27.954 7.191
1.898 1.579 0.526
1.898 13.163 4.825
1.905 16.320 4.825
1.905 27.905 0.526
1.910 1.530 7.191
1.910 13.212 8.861
1.919 5.429 8.708
1.919 9.313 7.345
1.917 20.216 0.672
1.917 24.009 4.679
3.311 4.038 6.674
3.308 6.870 6.714
3.308 7.872 9.339
3.311 10.704 9.379
3.307 21.639 9.371
3.307 22.586 6.681
3.313 18.781 9.383
3.313 25.444 6.669
3.328 2.966 9.280
3.328 11.775 6.772
3.333 17.712 6.772
3.333 26.513 9.281
3.441 29.479 9.369
3.441 14.746 6.684
4.165 0.005 1.333
4.165 14.737 4.018
4.273 2.970 1.421
4.273 11.771 3.930
4.278 17.708 3.929
4.278 26.517 1.421
4.293 4.039 4.032
4.293 10.703 1.318
4.299 6.898 4.021
4.299 7.844 1.330
4.296 18.779 1.323
4.298 21.612 1.363
4.298 22.613 3.988
4.296 25.446 4.028
5.689 5.474 6.022
5.689 9.267 10.030
5.687 20.170 3.357
5.687 24.055 1.994
5.696 16.271 1.840
5.696 27.954 3.510
5.701 1.579 10.175
5.701 13.163 5.877
5.708 16.320 5.877
5.708 27.905 10.175
5.713 1.530 3.510
5.713 13.212 1.840
5.722 5.429 1.994
5.722 9.313 3.357
5.720 20.216 10.030
5.720 24.009 6.022
7.114 4.038 4.028
7.111 6.870 3.988
7.111 7.872 1.363
7.114 10.704 1.323
7.110 21.639 1.330
7.110 22.586 4.021
7.116 18.781 1.318
7.116 25.444 4.032
7.131 2.966 1.421
7.131 11.775 3.929
7.136 17.712 3.930
7.136 26.513 1.421
7.244 29.479 1.333
7.244 14.746 4.018



PBE CsPr2Ti2NbO10, relaxed; E_form = -3405 meV per atom; E_tot = -133.441 eV/cell
1.0
2.751 -2.743 0.000
2.751 2.743 0.000
-0.162 0.000 15.734
Cs Pr Ti Nb O
1 2 2 1 10
Cartesian
0.000 0.000 0.000
-0.053 0.000 9.671
0.004 0.000 5.232
2.622 0.000 7.640
2.720 0.000 3.196
2.622 0.000 12.050
3.879 1.415 7.797
2.527 0.000 9.664
2.592 0.000 5.762
3.966 1.380 11.535
2.726 0.000 1.494
4.088 1.364 3.754
2.626 0.000 13.840
3.879 -1.415 7.797
3.966 -1.380 11.535
4.088 -1.364 3.754



PBE CsNbS2O9, relaxed; E_form = -2278 meV per atom; E_tot = -348.908 eV/cell
1.0
18.690 0.000 0.000
0.000 5.262 0.000
0.000 0.000 9.186
Cs Nb S O
4 4 8 36
Cartesian
1.328 1.316 1.544
8.018 3.947 6.137
10.673 1.316 3.049
17.363 3.947 7.642
3.461 3.947 5.208
5.884 1.316 0.615
12.806 3.947 8.571
15.229 1.316 3.978
1.342 1.316 5.803
3.824 3.947 8.837
5.521 1.316 4.244
8.003 3.947 1.210
10.687 1.316 7.976
13.170 3.947 4.942
14.866 1.316 0.349
17.348 3.947 3.383
0.393 1.316 6.899
0.815 1.316 4.463
2.293 0.122 6.011
2.293 2.509 6.011
2.381 3.947 8.968
2.832 3.947 3.592
4.346 3.947 7.466
4.378 2.735 0.392
4.378 5.158 0.392
4.968 0.104 4.986
4.968 2.527 4.986
4.999 1.316 2.873
6.514 1.316 8.185
6.964 1.316 4.375
7.053 2.753 1.418
7.053 5.140 1.418
8.530 3.947 9.056
8.952 3.947 2.306
9.738 1.316 6.880
10.160 1.316 0.131
11.638 0.122 7.768
11.638 2.509 7.768
11.726 3.947 4.811
12.177 3.947 1.001
13.692 3.947 6.314
13.723 2.735 4.201
13.723 5.158 4.201
14.313 0.104 8.794
14.313 2.527 8.794
14.344 1.316 1.721
15.859 1.316 5.594
16.309 1.316 0.218
16.398 2.753 3.175
16.398 5.140 3.175
17.875 3.947 4.724
18.297 3.947 2.287



PBE Cs4Nb2Si8O23, relaxed; E_form = -3098 meV per atom; E_tot = -279.821 eV/cell
1.0
7.109 0.000 0.000
2.505 7.603 0.000
0.039 2.637 10.914
Cs Nb Si O
4 2 8 23
Cartesian
1.959 3.098 3.959
2.015 1.654 0.143
7.638 8.586 10.771
7.694 7.142 6.956
3.989 7.789 8.886
5.664 2.451 2.029
2.081 6.960 3.226
4.111 5.438 1.441
4.287 6.660 5.438
3.464 2.950 7.781
6.189 7.290 3.133
5.367 3.580 5.476
5.542 4.802 9.474
7.572 3.280 7.688
2.812 9.391 8.273
2.679 5.854 2.168
2.828 6.722 4.674
2.541 6.799 9.254
2.031 3.698 7.403
4.134 8.533 10.800
4.141 7.270 6.907
4.251 3.832 1.629
5.373 7.528 4.553
5.707 9.161 8.514
5.319 6.248 2.212
4.827 5.120 5.457
4.334 3.992 8.703
3.946 1.079 2.400
4.280 2.712 6.362
5.402 6.408 9.285
5.513 2.970 4.007
5.520 1.707 0.114
7.622 6.542 3.511
7.112 3.441 1.661
6.826 3.518 6.240
6.974 4.386 8.746
6.841 0.849 2.641



PBE CsSm2Ti2NbO10, relaxed; E_form = -3401 meV per atom; E_tot = -133.250 eV/cell
1.0
2.746 -2.730 0.000
2.746 2.730 0.000
-0.229 0.000 15.609
Cs Sm Ti Nb O
1 2 2 1 10
Cartesian
0.000 0.000 0.000
5.244 0.000 5.979
5.238 0.000 10.417
2.556 0.000 12.386
2.703 0.000 7.998
2.684 0.000 3.623
1.191 1.354 11.821
1.363 1.381 4.146
1.508 1.444 7.834
1.191 -1.354 11.821
2.698 0.000 1.831
2.550 0.000 14.086
1.363 -1.381 4.146
2.721 0.000 9.872
2.832 0.000 5.983
1.508 -1.444 7.834



PBE CsSr2Nb3O10, relaxed; E_form = -3154 meV per atom; E_tot = -127.653 eV/cell
1.0
3.999 0.000 0.000
0.000 3.999 0.000
0.000 0.000 15.671
Cs Sr Nb O
1 2 3 10
Cartesian
0.000 0.000 0.000
0.000 0.000 5.563
0.000 0.000 10.108
2.000 2.000 3.418
2.000 2.000 7.836
2.000 2.000 12.253
0.000 2.000 3.824
0.000 2.000 7.836
0.000 2.000 11.847
2.000 0.000 3.824
2.000 0.000 7.836
2.000 0.000 11.847
2.000 2.000 1.624
2.000 2.000 5.850
2.000 2.000 9.821
2.000 2.000 14.047



Question: Which of these has the highest E_form?
Answer: Cs6Na4Tl13



Question: Which formula does entry 6 have?
Answer: CsPr2Ti2NbO10



Question: What is the E_form in the seventh record?
Answer: -2278 meV per atom